1.
PBE-GGA Mg149Pt, relaxed; space group = P-6m2 (187); E_tot = -1.667 eV per atom; ρ = 1.84 Mg/m³; calculated volume = 3439.6 Å³ per cell; DFT formation energy = -3.6 kJ/mol of atoms; crystal system = hexagonal
1.0
13.799 -7.967 0.000
0.000 15.934 0.000
0.000 0.000 15.644
Pt Mg
1 149
direct
0.000 0.000 0.000 Pt
0.200 0.600 0.333 Mg
0.064 0.127 0.158 Mg
0.000 0.601 0.333 Mg
0.269 0.134 0.833 Mg
0.000 0.199 0.332 Mg
0.067 0.533 0.166 Mg
0.000 0.398 0.000 Mg
0.867 0.133 0.500 Mg
0.400 0.200 0.666 Mg
0.265 0.934 0.835 Mg
0.467 0.533 0.500 Mg
0.667 0.333 0.167 Mg
0.198 0.802 0.000 Mg
0.867 0.734 0.500 Mg
0.000 0.601 0.667 Mg
0.199 0.199 0.332 Mg
0.067 0.133 0.500 Mg
0.468 0.734 0.166 Mg
0.266 0.934 0.500 Mg
0.399 0.000 0.333 Mg
0.266 0.734 0.834 Mg
0.800 0.600 0.334 Mg
0.600 0.601 0.667 Mg
0.400 0.600 0.667 Mg
0.000 0.400 0.333 Mg
0.398 0.199 0.000 Mg
0.400 0.600 0.333 Mg
0.266 0.133 0.500 Mg
0.000 0.000 0.331 Mg
0.067 0.933 0.500 Mg
0.866 0.533 0.833 Mg
0.801 0.000 0.332 Mg
0.265 0.331 0.835 Mg
0.800 0.200 0.666 Mg
0.667 0.333 0.500 Mg
0.600 0.000 0.333 Mg
0.200 0.800 0.333 Mg
0.067 0.533 0.834 Mg
0.666 0.134 0.833 Mg
0.867 0.333 0.500 Mg
0.467 0.134 0.167 Mg
0.600 0.200 0.333 Mg
0.192 0.002 0.000 Mg
0.266 0.734 0.166 Mg
0.600 0.800 0.333 Mg
0.998 0.190 0.000 Mg
0.000 0.602 0.000 Mg
0.800 0.400 0.000 Mg
0.199 0.199 0.668 Mg
0.400 0.800 0.000 Mg
0.801 0.801 0.668 Mg
0.866 0.134 0.167 Mg
0.800 0.600 0.666 Mg
0.400 0.800 0.333 Mg
0.066 0.333 0.500 Mg
0.467 0.933 0.166 Mg
0.468 0.734 0.834 Mg
0.198 0.397 0.000 Mg
0.066 0.734 0.500 Mg
0.600 0.000 0.667 Mg
0.400 0.200 0.334 Mg
0.467 0.134 0.833 Mg
0.866 0.134 0.833 Mg
0.602 0.000 0.000 Mg
0.600 0.400 0.000 Mg
0.064 0.127 0.842 Mg
0.199 0.000 0.668 Mg
0.810 0.002 0.000 Mg
0.265 0.331 0.165 Mg
0.266 0.532 0.166 Mg
0.200 0.800 0.667 Mg
0.399 0.400 0.333 Mg
0.266 0.533 0.500 Mg
0.467 0.533 0.834 Mg
0.800 0.400 0.333 Mg
0.602 0.602 0.000 Mg
0.873 0.936 0.158 Mg
0.666 0.533 0.833 Mg
0.866 0.731 0.833 Mg
0.192 0.190 0.000 Mg
0.000 0.000 0.669 Mg
0.669 0.934 0.165 Mg
0.467 0.133 0.500 Mg
0.603 0.802 0.000 Mg
0.669 0.934 0.835 Mg
0.669 0.735 0.165 Mg
0.866 0.731 0.167 Mg
0.400 0.800 0.667 Mg
0.866 0.334 0.167 Mg
0.398 0.398 0.000 Mg
0.800 0.400 0.667 Mg
0.467 0.533 0.166 Mg
0.269 0.134 0.167 Mg
0.064 0.936 0.842 Mg
0.398 0.000 0.000 Mg
0.998 0.808 0.000 Mg
0.866 0.334 0.833 Mg
0.000 0.801 0.668 Mg
0.600 0.601 0.333 Mg
0.000 0.801 0.332 Mg
0.800 0.200 0.334 Mg
0.200 0.600 0.667 Mg
0.399 0.400 0.667 Mg
0.669 0.735 0.835 Mg
0.600 0.200 0.667 Mg
0.067 0.533 0.500 Mg
0.467 0.334 0.167 Mg
0.467 0.334 0.833 Mg
0.801 0.199 0.000 Mg
0.867 0.533 0.500 Mg
0.666 0.134 0.167 Mg
0.066 0.331 0.835 Mg
0.667 0.934 0.500 Mg
0.200 0.400 0.667 Mg
0.600 0.400 0.667 Mg
0.400 0.600 0.000 Mg
0.399 0.000 0.667 Mg
0.066 0.331 0.165 Mg
0.199 0.000 0.332 Mg
0.873 0.936 0.842 Mg
0.467 0.734 0.500 Mg
0.467 0.933 0.500 Mg
0.667 0.734 0.500 Mg
0.600 0.200 0.000 Mg
0.666 0.533 0.167 Mg
0.266 0.532 0.834 Mg
0.667 0.533 0.500 Mg
0.467 0.933 0.834 Mg
0.064 0.936 0.158 Mg
0.000 0.199 0.668 Mg
0.801 0.000 0.668 Mg
0.200 0.600 0.000 Mg
0.801 0.602 0.000 Mg
0.667 0.133 0.500 Mg
0.801 0.801 0.332 Mg
0.266 0.734 0.500 Mg
0.667 0.333 0.833 Mg
0.467 0.333 0.500 Mg
0.265 0.934 0.165 Mg
0.866 0.533 0.167 Mg
0.867 0.933 0.500 Mg
0.200 0.400 0.333 Mg
0.600 0.800 0.667 Mg
0.066 0.735 0.835 Mg
0.066 0.735 0.165 Mg
0.810 0.808 0.000 Mg
0.600 0.400 0.333 Mg
0.000 0.400 0.667 Mg
0.266 0.333 0.500 Mg

---

2.
PBE-GGA BaNdHf4O12, relaxed; space group = Amm2 (38); E_tot = -8.849 eV per atom; ρ = 7.09 Mg/m³; calculated volume = 278.1 Å³ per cell; DFT formation energy = -330.3 kJ/mol of atoms; crystal system = orthorhombic
1.0
-2.671 -0.204 -5.172
-5.069 1.179 2.615
1.344 8.023 -1.011
O Ba Nd Hf
12 1 1 4
direct
0.792 0.208 0.695 O
0.434 0.983 0.500 O
0.975 0.482 0.000 O
0.730 0.730 0.743 O
0.270 0.270 0.743 O
0.017 0.566 0.500 O
0.730 0.730 0.257 O
0.228 0.772 0.757 O
0.228 0.772 0.243 O
0.792 0.208 0.305 O
0.518 0.025 0.000 O
0.270 0.270 0.257 O
0.481 0.519 0.000 Ba
0.027 0.973 0.500 Nd
0.993 0.490 0.747 Hf
0.993 0.490 0.253 Hf
0.510 0.007 0.253 Hf
0.510 0.007 0.747 Hf

---

3.
PBE-GGA LaNb2CuClO7, relaxed; space group = Pmm2 (25); E_tot = -7.824 eV per atom; ΔE to the lowest computed polymorph = 0.23 eV/f.u.; ρ = 4.82 Mg/m³; calculated volume = 184.4 Å³ per cell; DFT formation energy = -265.1 kJ/mol of atoms; crystal system = orthorhombic
1.0
3.943 0.000 0.000
0.000 3.956 0.000
0.000 0.000 11.822
O Cu Nb Cl La
7 1 2 1 1
direct
0.500 0.000 0.847 O
0.998 0.500 0.847 O
0.483 0.500 0.656 O
0.498 0.500 0.000 O
0.998 0.500 0.153 O
0.500 0.000 0.153 O
0.483 0.500 0.344 O
0.547 0.500 0.500 Cu
0.496 0.500 0.190 Nb
0.496 0.500 0.810 Nb
0.863 0.000 0.500 Cl
0.999 0.000 0.000 La

---

4.
PBE-GGA LaHBr2, relaxed; space group = P6_3/mmc (194); E_tot = -4.521 eV per atom; ρ = 4.52 Mg/m³; calculated volume = 220.0 Å³ per cell; DFT formation energy = -182.1 kJ/mol of atoms; crystal system = hexagonal
1.0
2.069 -3.583 0.000
2.069 3.583 0.000
0.000 0.000 14.840
La Br H
2 4 2
direct
0.000 0.000 0.750 La
0.000 0.000 0.250 La
0.667 0.333 0.881 Br
0.667 0.333 0.619 Br
0.333 0.667 0.119 Br
0.333 0.667 0.381 Br
0.667 0.333 0.250 H
0.333 0.667 0.750 H

---

5.
PBE-GGA Ba7Al64O103, relaxed; space group = P-62m (189); E_tot = -7.425 eV per atom; ρ = 3.73 Mg/m³; calculated volume = 1930.2 Å³ per cell; DFT formation energy = -332.7 kJ/mol of atoms; crystal system = hexagonal
1.0
4.903 -8.493 0.000
4.903 8.493 0.000
0.000 0.000 23.177
Al O Ba
64 103 7
direct
0.000 0.000 0.424 Al
0.667 0.333 0.575 Al
0.333 0.667 0.425 Al
0.839 0.670 0.643 Al
0.491 0.321 0.848 Al
0.330 0.169 0.357 Al
0.000 0.342 0.769 Al
0.509 0.830 0.152 Al
0.170 0.679 0.152 Al
0.496 0.000 0.642 Al
0.831 0.161 0.643 Al
0.509 0.830 0.848 Al
0.830 0.509 0.152 Al
0.000 0.342 0.231 Al
0.321 0.491 0.152 Al
0.342 0.000 0.769 Al
0.679 0.170 0.152 Al
0.658 0.658 0.231 Al
0.670 0.839 0.357 Al
0.811 0.000 0.930 Al
0.667 0.333 0.425 Al
0.000 0.811 0.070 Al
0.000 0.000 0.576 Al
0.000 0.360 0.074 Al
0.830 0.509 0.848 Al
0.189 0.189 0.930 Al
0.811 0.000 0.070 Al
0.169 0.330 0.357 Al
0.668 0.000 0.254 Al
0.667 0.333 0.277 Al
0.504 0.504 0.358 Al
0.491 0.321 0.152 Al
0.332 0.332 0.746 Al
0.670 0.839 0.643 Al
0.333 0.667 0.575 Al
0.360 0.000 0.926 Al
0.668 0.000 0.746 Al
0.000 0.668 0.746 Al
0.360 0.000 0.074 Al
0.504 0.504 0.642 Al
0.170 0.679 0.848 Al
0.169 0.330 0.643 Al
0.000 0.496 0.358 Al
0.658 0.658 0.769 Al
0.000 0.496 0.642 Al
0.000 0.811 0.930 Al
0.333 0.667 0.277 Al
0.000 0.360 0.926 Al
0.000 0.668 0.254 Al
0.189 0.189 0.070 Al
0.342 0.000 0.231 Al
0.161 0.831 0.643 Al
0.679 0.170 0.848 Al
0.831 0.161 0.357 Al
0.640 0.640 0.074 Al
0.667 0.333 0.723 Al
0.332 0.332 0.254 Al
0.321 0.491 0.848 Al
0.161 0.831 0.357 Al
0.839 0.670 0.357 Al
0.330 0.169 0.643 Al
0.496 0.000 0.358 Al
0.640 0.640 0.926 Al
0.333 0.667 0.723 Al
0.000 0.807 0.694 O
0.171 0.000 0.400 O
0.173 0.000 0.084 O
0.171 0.508 0.892 O
0.666 0.000 0.887 O
0.829 0.337 0.108 O
0.516 0.000 0.797 O
0.655 0.830 0.792 O
0.516 0.000 0.203 O
0.173 0.000 0.916 O
0.657 0.156 0.696 O
0.844 0.501 0.696 O
0.829 0.829 0.600 O
0.000 0.332 0.310 O
0.333 0.667 0.500 O
0.000 0.171 0.400 O
0.484 0.484 0.203 O
0.171 0.508 0.108 O
0.164 0.493 0.399 O
0.668 0.668 0.690 O
0.825 0.170 0.208 O
0.844 0.501 0.304 O
0.827 0.827 0.916 O
0.339 0.339 0.396 O
0.000 0.756 0.000 O
0.329 0.836 0.399 O
0.671 0.507 0.601 O
0.170 0.825 0.792 O
0.000 0.666 0.887 O
0.667 0.333 0.198 O
0.492 0.663 0.108 O
0.507 0.671 0.399 O
0.337 0.829 0.892 O
0.345 0.175 0.208 O
0.193 0.193 0.306 O
0.830 0.655 0.792 O
0.508 0.171 0.108 O
0.333 0.667 0.198 O
0.661 0.000 0.604 O
0.756 0.000 0.000 O
0.175 0.345 0.792 O
0.244 0.244 0.000 O
0.000 0.173 0.084 O
0.333 0.667 0.802 O
0.000 0.173 0.916 O
0.400 0.000 0.000 O
0.000 0.400 0.000 O
0.657 0.156 0.304 O
0.343 0.499 0.304 O
0.671 0.507 0.399 O
0.666 0.000 0.113 O
0.332 0.000 0.690 O
0.000 0.332 0.690 O
0.830 0.655 0.208 O
0.343 0.499 0.696 O
0.000 0.000 0.500 O
0.337 0.829 0.108 O
0.000 0.661 0.604 O
0.000 0.807 0.306 O
0.000 0.171 0.600 O
0.000 0.516 0.203 O
0.501 0.844 0.304 O
0.507 0.671 0.601 O
0.501 0.844 0.696 O
0.836 0.329 0.399 O
0.000 0.661 0.396 O
0.339 0.339 0.604 O
0.663 0.492 0.892 O
0.334 0.334 0.113 O
0.508 0.171 0.892 O
0.499 0.343 0.696 O
0.807 0.000 0.694 O
0.171 0.000 0.600 O
0.156 0.657 0.304 O
0.329 0.836 0.601 O
0.667 0.333 0.802 O
0.836 0.329 0.601 O
0.164 0.493 0.601 O
0.807 0.000 0.306 O
0.600 0.600 0.000 O
0.345 0.175 0.792 O
0.484 0.484 0.797 O
0.825 0.170 0.792 O
0.000 0.666 0.113 O
0.156 0.657 0.696 O
0.493 0.164 0.399 O
0.170 0.825 0.208 O
0.332 0.000 0.310 O
0.829 0.337 0.892 O
0.175 0.345 0.208 O
0.655 0.830 0.208 O
0.492 0.663 0.892 O
0.661 0.000 0.396 O
0.000 0.516 0.797 O
0.493 0.164 0.601 O
0.499 0.343 0.304 O
0.668 0.668 0.310 O
0.829 0.829 0.400 O
0.667 0.333 0.500 O
0.193 0.193 0.694 O
0.334 0.334 0.887 O
0.663 0.492 0.108 O
0.827 0.827 0.084 O
0.000 0.331 0.500 Ba
0.667 0.333 0.000 Ba
0.000 0.000 0.777 Ba
0.669 0.669 0.500 Ba
0.000 0.000 0.223 Ba
0.333 0.667 0.000 Ba
0.331 0.000 0.500 Ba

---

6.
PBE-GGA Mo3WSe4S4, relaxed; space group = P3m1 (156); E_tot = -7.062 eV per atom; ΔE to the lowest computed polymorph = 0.21 eV/f.u.; ρ = 4.49 Mg/m³; calculated volume = 338.6 Å³ per cell; DFT formation energy = -86.3 kJ/mol of atoms; crystal system = trigonal
1.0
1.629 -2.821 0.000
1.629 2.821 0.000
0.000 0.000 36.860
S Se W Mo
4 4 1 3
direct
0.667 0.333 0.512 S
0.667 0.333 0.052 S
0.667 0.333 0.428 S
0.667 0.333 0.136 S
0.333 0.667 0.236 Se
0.333 0.667 0.704 Se
0.333 0.667 0.611 Se
0.333 0.667 0.328 Se
0.667 0.333 0.658 W
0.333 0.667 0.470 Mo
0.333 0.667 0.094 Mo
0.667 0.333 0.282 Mo

---

7.
PBE-GGA Mg3Np, relaxed; space group = Fm-3m (225); E_tot = -4.065 eV per atom; ρ = 5.23 Mg/m³; calculated volume = 98.4 Å³ per cell; DFT formation energy = 35.9 kJ/mol of atoms; crystal system = cubic
1.0
-0.882 -0.710 5.058
-0.420 4.089 3.156
-4.604 1.246 2.028
Mg Np
3 1
direct
0.500 0.500 0.500 Mg
0.750 0.750 0.750 Mg
0.250 0.250 0.250 Mg
0.000 0.000 0.000 Np